Computed, not measured: Na18Mg8Nb16Si21S15O144 after structural relaxation at the PBE level of DFT.

Results
VASP energy: -1579.155 eV per formula unit
Corrected total energy (MP2020 scheme): -7.559 eV/atom
E_form: -591.37 eV per formula unit
Calculated volume: 3147 Å³/f.u.

a b c (Å): 8.932 15.451 22.804
angles (deg): 89.71 89.85 89.92
Space group P1 (No. 1)
One atom of each set of equivalent atoms:
Na (0.000, 0.000, 0.000) (multiplicity 1)
Na (0.000, 0.328, 0.677) (multiplicity 1)
Na (0.002, 0.663, 0.343) (multiplicity 1)
Na (0.005, 0.335, 0.175) (multiplicity 1)
Na (0.007, 0.664, 0.838) (multiplicity 1)
Na (0.194, 0.174, 0.254) (multiplicity 1)
Na (0.294, 0.665, 0.757) (multiplicity 1)
Na (0.490, 0.831, 0.677) (multiplicity 1)
Na (0.492, 0.167, 0.841) (multiplicity 1)
Na (0.495, 0.176, 0.346) (multiplicity 1)
Na (0.495, 0.500, 0.506) (multiplicity 1)
Na (0.499, 0.823, 0.173) (multiplicity 1)
Na (0.503, 0.500, 0.001) (multiplicity 1)
Na (0.637, 0.994, 0.255) (multiplicity 1)
Na (0.693, 0.671, 0.253) (multiplicity 1)
Na (0.799, 0.174, 0.755) (multiplicity 1)
Na (0.862, 0.497, 0.753) (multiplicity 1)
Na (0.991, 0.001, 0.503) (multiplicity 1)
Mg (0.003, 0.991, 0.870) (multiplicity 1)
Mg (0.010, 0.655, 0.699) (multiplicity 1)
Mg (0.491, 0.162, 0.196) (multiplicity 1)
Mg (0.492, 0.489, 0.371) (multiplicity 1)
Mg (0.494, 0.491, 0.869) (multiplicity 1)
Mg (0.502, 0.158, 0.697) (multiplicity 1)
Mg (0.991, 0.657, 0.197) (multiplicity 1)
Mg (0.993, 0.989, 0.371) (multiplicity 1)
Nb (0.009, 0.990, 0.656) (multiplicity 1)
Nb (0.015, 0.331, 0.327) (multiplicity 1)
Nb (0.478, 0.829, 0.826) (multiplicity 1)
Nb (0.485, 0.490, 0.155) (multiplicity 1)
Nb (0.493, 0.488, 0.658) (multiplicity 1)
Nb (0.495, 0.147, 0.491) (multiplicity 1)
Nb (0.498, 0.147, 0.991) (multiplicity 1)
Nb (0.498, 0.822, 0.033) (multiplicity 1)
Nb (0.501, 0.821, 0.535) (multiplicity 1)
Nb (0.512, 0.825, 0.328) (multiplicity 1)
Nb (0.984, 0.330, 0.824) (multiplicity 1)
Nb (0.987, 0.989, 0.154) (multiplicity 1)
Nb (0.996, 0.321, 0.033) (multiplicity 1)
Nb (0.996, 0.646, 0.493) (multiplicity 1)
Nb (0.997, 0.646, 0.990) (multiplicity 1)
Nb (0.998, 0.322, 0.535) (multiplicity 1)
Si (0.126, 0.845, 0.767) (multiplicity 1)
Si (0.132, 0.512, 0.100) (multiplicity 1)
Si (0.145, 0.177, 0.430) (multiplicity 1)
Si (0.153, 0.470, 0.432) (multiplicity 1)
Si (0.209, 0.491, 0.768) (multiplicity 1)
Si (0.210, 0.158, 0.100) (multiplicity 1)
Si (0.286, 0.656, 0.600) (multiplicity 1)
Si (0.343, 0.969, 0.932) (multiplicity 1)
Si (0.349, 0.676, 0.930) (multiplicity 1)
Si (0.361, 0.012, 0.600) (multiplicity 1)
Si (0.367, 0.344, 0.267) (multiplicity 1)
Si (0.625, 0.343, 0.767) (multiplicity 1)
Si (0.631, 0.012, 0.102) (multiplicity 1)
Si (0.648, 0.675, 0.431) (multiplicity 1)
Si (0.651, 0.969, 0.431) (multiplicity 1)
Si (0.711, 0.658, 0.101) (multiplicity 1)
Si (0.783, 0.157, 0.600) (multiplicity 1)
Si (0.840, 0.467, 0.930) (multiplicity 1)
Si (0.849, 0.510, 0.602) (multiplicity 1)
Si (0.851, 0.176, 0.929) (multiplicity 1)
Si (0.867, 0.843, 0.267) (multiplicity 1)
S (0.142, 0.801, 0.098) (multiplicity 1)
S (0.144, 0.134, 0.763) (multiplicity 1)
S (0.211, 0.824, 0.430) (multiplicity 1)
S (0.283, 0.988, 0.265) (multiplicity 1)
S (0.286, 0.323, 0.930) (multiplicity 1)
S (0.350, 0.635, 0.263) (multiplicity 1)
S (0.354, 0.301, 0.596) (multiplicity 1)
S (0.641, 0.639, 0.763) (multiplicity 1)
S (0.642, 0.302, 0.097) (multiplicity 1)
S (0.711, 0.324, 0.430) (multiplicity 1)
S (0.711, 0.988, 0.765) (multiplicity 1)
S (0.783, 0.488, 0.265) (multiplicity 1)
S (0.785, 0.823, 0.929) (multiplicity 1)
S (0.853, 0.137, 0.263) (multiplicity 1)
S (0.855, 0.801, 0.598) (multiplicity 1)
O (0.063, 0.564, 0.435) (multiplicity 1)
O (0.064, 0.221, 0.765) (multiplicity 1)
O (0.068, 0.555, 0.156) (multiplicity 1)
O (0.071, 0.414, 0.087) (multiplicity 1)
O (0.072, 0.093, 0.709) (multiplicity 1)
O (0.072, 0.425, 0.372) (multiplicity 1)
O (0.072, 0.896, 0.823) (multiplicity 1)
O (0.073, 0.230, 0.485) (multiplicity 1)
O (0.075, 0.747, 0.760) (multiplicity 1)
O (0.076, 0.892, 0.103) (multiplicity 1)
O (0.077, 0.765, 0.044) (multiplicity 1)
O (0.080, 0.083, 0.423) (multiplicity 1)
O (0.086, 0.567, 0.760) (multiplicity 1)
O (0.092, 0.238, 0.086) (multiplicity 1)
O (0.092, 0.410, 0.486) (multiplicity 1)
O (0.100, 0.907, 0.706) (multiplicity 1)
O (0.104, 0.068, 0.106) (multiplicity 1)
O (0.106, 0.240, 0.371) (multiplicity 1)
O (0.111, 0.084, 0.816) (multiplicity 1)
O (0.111, 0.572, 0.039) (multiplicity 1)
O (0.112, 0.397, 0.771) (multiplicity 1)
O (0.116, 0.752, 0.151) (multiplicity 1)
O (0.117, 0.745, 0.434) (multiplicity 1)
O (0.122, 0.902, 0.425) (multiplicity 1)
O (0.165, 0.681, 0.939) (multiplicity 1)
O (0.168, 0.978, 0.930) (multiplicity 1)
O (0.170, 0.337, 0.269) (multiplicity 1)
O (0.172, 0.648, 0.541) (multiplicity 1)
O (0.173, 0.002, 0.603) (multiplicity 1)
O (0.186, 0.314, 0.591) (multiplicity 1)
O (0.190, 0.001, 0.316) (multiplicity 1)
O (0.190, 0.309, 0.878) (multiplicity 1)
O (0.190, 0.329, 0.985) (multiplicity 1)
O (0.190, 0.648, 0.255) (multiplicity 1)
O (0.192, 0.980, 0.210) (multiplicity 1)
O (0.204, 0.677, 0.659) (multiplicity 1)
O (0.292, 0.175, 0.161) (multiplicity 1)
O (0.304, 0.146, 0.755) (multiplicity 1)
O (0.305, 0.831, 0.483) (multiplicity 1)
O (0.308, 0.815, 0.092) (multiplicity 1)
O (0.310, 0.811, 0.377) (multiplicity 1)
O (0.317, 0.514, 0.820) (multiplicity 1)
O (0.318, 0.480, 0.707) (multiplicity 1)
O (0.321, 0.502, 0.104) (multiplicity 1)
O (0.322, 0.147, 0.042) (multiplicity 1)
O (0.324, 0.838, 0.769) (multiplicity 1)
O (0.328, 0.478, 0.431) (multiplicity 1)
O (0.330, 0.181, 0.437) (multiplicity 1)
O (0.376, 0.400, 0.928) (multiplicity 1)
O (0.378, 0.251, 0.650) (multiplicity 1)
O (0.378, 0.906, 0.268) (multiplicity 1)
O (0.380, 0.243, 0.937) (multiplicity 1)
O (0.383, 0.072, 0.539) (multiplicity 1)
O (0.385, 0.586, 0.316) (multiplicity 1)
O (0.388, 0.740, 0.872) (multiplicity 1)
O (0.390, 0.062, 0.260) (multiplicity 1)
O (0.392, 0.569, 0.602) (multiplicity 1)
O (0.396, 0.405, 0.206) (multiplicity 1)
O (0.400, 0.739, 0.584) (multiplicity 1)
O (0.404, 0.911, 0.987) (multiplicity 1)
O (0.414, 0.261, 0.543) (multiplicity 1)
O (0.418, 0.733, 0.986) (multiplicity 1)
O (0.419, 0.244, 0.261) (multiplicity 1)
O (0.421, 0.584, 0.928) (multiplicity 1)
O (0.422, 0.389, 0.599) (multiplicity 1)
O (0.424, 0.393, 0.323) (multiplicity 1)
O (0.424, 0.596, 0.209) (multiplicity 1)
O (0.424, 0.914, 0.587) (multiplicity 1)
O (0.424, 0.923, 0.873) (multiplicity 1)
O (0.427, 0.055, 0.656) (multiplicity 1)
O (0.428, 0.724, 0.266) (multiplicity 1)
O (0.433, 0.064, 0.935) (multiplicity 1)
O (0.562, 0.064, 0.434) (multiplicity 1)
O (0.564, 0.726, 0.767) (multiplicity 1)
O (0.567, 0.598, 0.710) (multiplicity 1)
O (0.569, 0.914, 0.089) (multiplicity 1)
O (0.571, 0.244, 0.761) (multiplicity 1)
O (0.571, 0.924, 0.370) (multiplicity 1)
O (0.575, 0.730, 0.485) (multiplicity 1)
O (0.576, 0.052, 0.162) (multiplicity 1)
O (0.576, 0.392, 0.102) (multiplicity 1)
O (0.577, 0.265, 0.044) (multiplicity 1)
O (0.578, 0.394, 0.823) (multiplicity 1)
O (0.581, 0.582, 0.423) (multiplicity 1)
O (0.590, 0.910, 0.485) (multiplicity 1)
O (0.594, 0.738, 0.086) (multiplicity 1)
O (0.605, 0.569, 0.106) (multiplicity 1)
O (0.607, 0.062, 0.759) (multiplicity 1)
O (0.607, 0.074, 0.042) (multiplicity 1)
O (0.607, 0.406, 0.706) (multiplicity 1)
O (0.609, 0.739, 0.371) (multiplicity 1)
O (0.617, 0.245, 0.435) (multiplicity 1)
O (0.617, 0.252, 0.150) (multiplicity 1)
O (0.618, 0.587, 0.816) (multiplicity 1)
O (0.620, 0.905, 0.769) (multiplicity 1)
O (0.622, 0.402, 0.426) (multiplicity 1)
O (0.666, 0.180, 0.940) (multiplicity 1)
O (0.666, 0.477, 0.929) (multiplicity 1)
O (0.666, 0.500, 0.603) (multiplicity 1)
O (0.667, 0.839, 0.269) (multiplicity 1)
O (0.670, 0.146, 0.542) (multiplicity 1)
O (0.687, 0.814, 0.591) (multiplicity 1)
O (0.688, 0.810, 0.877) (multiplicity 1)
O (0.689, 0.831, 0.984) (multiplicity 1)
O (0.690, 0.146, 0.255) (multiplicity 1)
O (0.690, 0.501, 0.316) (multiplicity 1)
O (0.691, 0.479, 0.210) (multiplicity 1)
O (0.702, 0.176, 0.661) (multiplicity 1)
O (0.791, 0.678, 0.161) (multiplicity 1)
O (0.802, 0.651, 0.753) (multiplicity 1)
O (0.804, 0.001, 0.816) (multiplicity 1)
O (0.804, 0.979, 0.710) (multiplicity 1)
O (0.806, 0.331, 0.483) (multiplicity 1)
O (0.808, 0.315, 0.091) (multiplicity 1)
O (0.809, 0.311, 0.377) (multiplicity 1)
O (0.820, 0.003, 0.104) (multiplicity 1)
O (0.823, 0.336, 0.768) (multiplicity 1)
O (0.824, 0.647, 0.043) (multiplicity 1)
O (0.825, 0.978, 0.429) (multiplicity 1)
O (0.832, 0.681, 0.438) (multiplicity 1)
O (0.873, 0.902, 0.926) (multiplicity 1)
O (0.875, 0.405, 0.269) (multiplicity 1)
O (0.879, 0.745, 0.936) (multiplicity 1)
O (0.880, 0.751, 0.650) (multiplicity 1)
O (0.884, 0.085, 0.315) (multiplicity 1)
O (0.885, 0.573, 0.541) (multiplicity 1)
O (0.887, 0.562, 0.259) (multiplicity 1)
O (0.889, 0.068, 0.605) (multiplicity 1)
O (0.890, 0.238, 0.870) (multiplicity 1)
O (0.890, 0.906, 0.206) (multiplicity 1)
O (0.899, 0.237, 0.585) (multiplicity 1)
O (0.902, 0.409, 0.985) (multiplicity 1)
O (0.914, 0.081, 0.924) (multiplicity 1)
O (0.916, 0.550, 0.659) (multiplicity 1)
O (0.918, 0.764, 0.543) (multiplicity 1)
O (0.918, 0.897, 0.321) (multiplicity 1)
O (0.919, 0.744, 0.262) (multiplicity 1)
O (0.919, 0.892, 0.602) (multiplicity 1)
O (0.922, 0.230, 0.985) (multiplicity 1)
O (0.922, 0.414, 0.587) (multiplicity 1)
O (0.922, 0.425, 0.870) (multiplicity 1)
O (0.924, 0.096, 0.209) (multiplicity 1)
O (0.926, 0.225, 0.265) (multiplicity 1)
O (0.930, 0.563, 0.935) (multiplicity 1)